Record 1
# LiTiNF6, optimized geometry, DFT PBE
data_LiTiNF6
_cell_length_a 7.5153
_cell_length_b 13.7876
_cell_length_c 9.8276
_cell_angle_alpha 90.00
_cell_angle_beta 90.00
_cell_angle_gamma 90.00
_symmetry_space_group_name_H-M 'P b c n'
_symmetry_Int_Tables_number 60
loop_
_symmetry_equiv_pos_as_xyz
'x,y,z'
'-x,-y,-z'
'-x+1/2,-y+1/2,z+1/2'
'x+1/2,y+1/2,-z+1/2'
'x+1/2,-y+1/2,-z'
'-x+1/2,y+1/2,z'
'-x,y,-z+1/2'
'x,-y,z+1/2'
loop_
_atom_site_label
_atom_site_type_symbol
_atom_site_fract_x
_atom_site_fract_y
_atom_site_fract_z
Li1 Li 0.2116 0.1287 0.0533
Ti1 Ti 0.2175 0.3724 0.9268
N1 N 0.0000 0.2118 0.7500
N2 N 0.0000 0.3339 0.2500
F1 F 0.0261 0.3672 0.5885
F2 F 0.0482 0.1528 0.4722
F3 F 0.1657 0.3219 0.1195
F4 F 0.1900 0.2271 0.8663
F5 F 0.2169 0.1005 0.2521
F6 F 0.2290 0.4991 0.9797
# E = -5.379 eV/atom
# ΔE_f = -2.3947 eV per atom
# total magnetization = 0.22 μB/atom

Record 2
# LiTiNF6, optimized geometry, DFT PBE
data_LiTiNF6
_cell_length_a 8.6793
_cell_length_b 13.8162
_cell_length_c 9.5477
_cell_angle_alpha 90.00
_cell_angle_beta 90.00
_cell_angle_gamma 90.00
_symmetry_space_group_name_H-M 'P b c n'
_symmetry_Int_Tables_number 60
loop_
_symmetry_equiv_pos_as_xyz
'x,y,z'
'-x,-y,-z'
'-x+1/2,-y+1/2,z+1/2'
'x+1/2,y+1/2,-z+1/2'
'x+1/2,-y+1/2,-z'
'-x+1/2,y+1/2,z'
'-x,y,-z+1/2'
'x,-y,z+1/2'
loop_
_atom_site_label
_atom_site_type_symbol
_atom_site_fract_x
_atom_site_fract_y
_atom_site_fract_z
Li1 Li 0.0000 0.0512 0.2500
Li2 Li 0.0000 0.3243 0.7500
Ti1 Ti 0.2165 0.1389 0.5476
N1 N 0.2439 0.3810 0.4287
F1 F 0.0576 0.1149 0.4163
F2 F 0.1096 0.3527 0.1484
F3 F 0.1243 0.2458 0.6213
F4 F 0.1414 0.4414 0.4861
F5 F 0.1441 0.0382 0.6548
F6 F 0.1579 0.3558 0.8882
# E = -5.521 eV/atom
# ΔE_f = -2.5369 eV per atom
# total magnetization = 0.22 μB/atom

Record 3
# Na2LiNbF6, optimized geometry, DFT PBE
data_Na2LiNbF6
_cell_length_a 8.1685
_cell_length_b 8.1685
_cell_length_c 8.1685
_cell_angle_alpha 90.00
_cell_angle_beta 90.00
_cell_angle_gamma 90.00
_symmetry_space_group_name_H-M 'F m -3 m'
_symmetry_Int_Tables_number 225
_symmetry_space_group_name_Hall '-F 4 2 3'
loop_
_atom_site_label
_atom_site_type_symbol
_atom_site_fract_x
_atom_site_fract_y
_atom_site_fract_z
Na1 Na 0.2500 0.2500 0.2500
Li1 Li 0.0000 0.0000 0.0000
Nb1 Nb 0.0000 0.0000 0.5000
F1 F 0.0000 0.0000 0.2442
# E = -5.239 eV/atom
# ΔE_f = -2.9015 eV per atom
# total magnetization = 0.20 μB/atom

Record 4
# Na2LiPdF6, optimized geometry, DFT PBE
data_Na2LiPdF6
_cell_length_a 8.0441
_cell_length_b 8.0441
_cell_length_c 8.0441
_cell_angle_alpha 90.00
_cell_angle_beta 90.00
_cell_angle_gamma 90.00
_symmetry_space_group_name_H-M 'F m -3 m'
_symmetry_Int_Tables_number 225
_symmetry_space_group_name_Hall '-F 4 2 3'
loop_
_atom_site_label
_atom_site_type_symbol
_atom_site_fract_x
_atom_site_fract_y
_atom_site_fract_z
Na1 Na 0.2500 0.2500 0.2500
Li1 Li 0.0000 0.0000 0.0000
Pd1 Pd 0.0000 0.0000 0.5000
F1 F 0.0000 0.0000 0.2467
# E = -4.250 eV/atom
# ΔE_f = -2.4046 eV per atom
# total magnetization = 0.10 μB/atom

Record 5
# NaLi2RuF6, optimized geometry, DFT PBE
data_NaLi2RuF6
_cell_length_a 8.3052
_cell_length_b 8.3052
_cell_length_c 8.3052
_cell_angle_alpha 90.00
_cell_angle_beta 90.00
_cell_angle_gamma 90.00
_symmetry_space_group_name_H-M 'F m -3 m'
_symmetry_Int_Tables_number 225
_symmetry_space_group_name_Hall '-F 4 2 3'
loop_
_atom_site_label
_atom_site_type_symbol
_atom_site_fract_x
_atom_site_fract_y
_atom_site_fract_z
Na1 Na 0.0000 0.0000 0.0000
Li1 Li 0.2500 0.2500 0.2500
Ru1 Ru 0.0000 0.0000 0.5000
F1 F 0.0000 0.0000 0.2590
# E = -4.663 eV/atom
# ΔE_f = -2.3496 eV per atom
# total magnetization = 0.10 μB/atom

Record 6
# Na3Li3Sc2F12, optimized geometry, DFT PBE
data_Na3Li3Sc2F12
_cell_length_a 12.7732
_cell_length_b 12.7732
_cell_length_c 12.7732
_cell_angle_alpha 90.00
_cell_angle_beta 90.00
_cell_angle_gamma 90.00
_symmetry_space_group_name_H-M 'I a -3 d'
_symmetry_Int_Tables_number 230
_symmetry_space_group_name_Hall '-I 4bd 2c 3'
loop_
_atom_site_label
_atom_site_type_symbol
_atom_site_fract_x
_atom_site_fract_y
_atom_site_fract_z
Na1 Na 0.0000 0.2500 0.1250
Li1 Li 0.0000 0.2500 0.3750
Sc1 Sc 0.0000 0.0000 0.0000
F1 F 0.0294 0.0494 0.6487
# E = -5.576 eV/atom
# ΔE_f = -3.5861 eV per atom
# total magnetization = 0.00 μB/atom

Record 7
# Na2LiScF6, optimized geometry, DFT PBE
data_Na2LiScF6
_cell_length_a 8.0349
_cell_length_b 8.0349
_cell_length_c 8.0349
_cell_angle_alpha 90.00
_cell_angle_beta 90.00
_cell_angle_gamma 90.00
_symmetry_space_group_name_H-M 'F m -3 m'
_symmetry_Int_Tables_number 225
_symmetry_space_group_name_Hall '-F 4 2 3'
loop_
_atom_site_label
_atom_site_type_symbol
_atom_site_fract_x
_atom_site_fract_y
_atom_site_fract_z
Na1 Na 0.2500 0.2500 0.2500
Li1 Li 0.0000 0.0000 0.0000
Sc1 Sc 0.0000 0.0000 0.5000
F1 F 0.0000 0.0000 0.2496
# E = -5.446 eV/atom
# ΔE_f = -3.4861 eV per atom
# total magnetization = 0.00 μB/atom

Record 8
# Na3Li3Ti2F12, optimized geometry, DFT PBE
data_Na3Li3Ti2F12
_cell_length_a 12.6502
_cell_length_b 12.6502
_cell_length_c 12.6502
_cell_angle_alpha 90.00
_cell_angle_beta 90.00
_cell_angle_gamma 90.00
_symmetry_space_group_name_H-M 'I a -3 d'
_symmetry_Int_Tables_number 230
_symmetry_space_group_name_Hall '-I 4bd 2c 3'
loop_
_atom_site_label
_atom_site_type_symbol
_atom_site_fract_x
_atom_site_fract_y
_atom_site_fract_z
Na1 Na 0.0000 0.2500 0.1250
Li1 Li 0.0000 0.2500 0.3750
Ti1 Ti 0.0000 0.0000 0.0000
F1 F 0.0289 0.0492 0.6470
# E = -5.469 eV/atom
# ΔE_f = -3.3228 eV per atom
# total magnetization = 0.10 μB/atom

Record 9
# NaLi2TiF6, optimized geometry, DFT PBE
data_NaLi2TiF6
_cell_length_a 8.2603
_cell_length_b 8.2603
_cell_length_c 8.2603
_cell_angle_alpha 90.00
_cell_angle_beta 90.00
_cell_angle_gamma 90.00
_symmetry_space_group_name_H-M 'F m -3 m'
_symmetry_Int_Tables_number 225
_symmetry_space_group_name_Hall '-F 4 2 3'
loop_
_atom_site_label
_atom_site_type_symbol
_atom_site_fract_x
_atom_site_fract_y
_atom_site_fract_z
Na1 Na 0.0000 0.0000 0.0000
Li1 Li 0.2500 0.2500 0.2500
Ti1 Ti 0.0000 0.0000 0.5000
F1 F 0.0000 0.0000 0.2621
# E = -5.219 eV/atom
# ΔE_f = -3.0438 eV per atom
# total magnetization = 0.10 μB/atom

Record 10
# Na2LiTiF6, optimized geometry, DFT PBE
data_Na2LiTiF6
_cell_length_a 7.9410
_cell_length_b 7.9410
_cell_length_c 7.9410
_cell_angle_alpha 90.00
_cell_angle_beta 90.00
_cell_angle_gamma 90.00
_symmetry_space_group_name_H-M 'F m -3 m'
_symmetry_Int_Tables_number 225
_symmetry_space_group_name_Hall '-F 4 2 3'
loop_
_atom_site_label
_atom_site_type_symbol
_atom_site_fract_x
_atom_site_fract_y
_atom_site_fract_z
Na1 Na 0.2500 0.2500 0.2500
Li1 Li 0.0000 0.0000 0.0000
Ti1 Ti 0.0000 0.0000 0.5000
F1 F 0.0000 0.0000 0.2518
# E = -5.352 eV/atom
# ΔE_f = -3.2353 eV per atom
# total magnetization = 0.10 μB/atom